No. 1
Density functional theory data (GGA-PBE) for a geometry-optimized PmGaPd2 structure.

Structure (CIF):
```
data_PmGaPd2
_chemical_formula_sum 'Pm4 Ga4 Pd8'
_space_group_name_H-M_alt 'F m -3 m'
_space_group_IT_number 225
_space_group_name_Hall '-F 4 2 3'
_cell_length_a 6.7532
_cell_length_b 6.7532
_cell_length_c 6.7532
_cell_angle_alpha 90.00
_cell_angle_beta 90.00
_cell_angle_gamma 90.00
loop_
_atom_site_label
_atom_site_type_symbol
_atom_site_fract_x
_atom_site_fract_y
_atom_site_fract_z
_atom_site_occupancy
Pm1 Pm 0.0000 0.0000 0.0000 1
Ga1 Ga 0.0000 0.0000 0.5000 1
Pd1 Pd 0.2500 0.2500 0.2500 1
```

***

No. 2
Density functional theory data (GGA-PBE) for a geometry-optimized SmGaPd2 structure.

Structure (CIF):
```
data_SmGaPd2
_chemical_formula_sum 'Sm4 Ga4 Pd8'
_space_group_name_H-M_alt 'P n m a'
_space_group_IT_number 62
_space_group_name_Hall '-P 2ac 2n'
_cell_length_a 7.5347
_cell_length_b 7.1862
_cell_length_c 5.6901
_cell_angle_alpha 90.00
_cell_angle_beta 90.00
_cell_angle_gamma 90.00
loop_
_atom_site_label
_atom_site_type_symbol
_atom_site_fract_x
_atom_site_fract_y
_atom_site_fract_z
_atom_site_occupancy
Sm1 Sm 0.0329 0.2500 0.1495 1
Ga1 Ga 0.1180 0.7500 0.3502 1
Pd1 Pd 0.1787 0.0519 0.5878 1
```

***

Number 1: uncorrected energy -84.0 eV per cell, formation enthalpy at 0 K -713.6 meV per atom. Number 2: uncorrected energy -86.4 eV per cell, formation enthalpy at 0 K -876.1 meV per atom.